Entry 1:
# Ba3Ge4 (PBE, optimized geometry)
# - ΔE_f (meV/atom) = -570
# - E_tot (eV per atom) = -4.034
data_Ba3Ge4
_space_group_name_H-M_alt 'C m m m'
_space_group_IT_number 65
_space_group_name_Hall '-C 2 2'
_cell_length_a 11.931
_cell_length_b 12.342
_cell_length_c 12.272
_cell_angle_alpha 90.00
_cell_angle_beta 90.00
_cell_angle_gamma 90.00
loop_
_atom_site_label
_atom_site_type_symbol
_atom_site_fract_x
_atom_site_fract_y
_atom_site_fract_z
_atom_site_occupancy
Ba1 Ba 0.000 0.000 0.161 1
Ba2 Ba 0.000 0.159 0.500 1
Ba3 Ba 0.000 0.500 0.325 1
Ba4 Ba 0.163 0.500 0.000 1
Ba5 Ba 0.250 0.250 0.255 1
Ge1 Ge 0.000 0.295 0.138 1
Ge2 Ge 0.138 0.202 0.000 1
Ge3 Ge 0.195 0.394 0.500 1
Ge4 Ge 0.197 0.000 0.350 1

=====

Entry 2:
# CdInPd2 (PBE, optimized geometry)
# - ΔE_f (meV/atom) = -473
# - E_tot (eV per atom) = -3.982
data_CdInPd2
_space_group_name_H-M_alt 'F m -3 m'
_space_group_IT_number 225
_space_group_name_Hall '-F 4 2 3'
_cell_length_a 6.581
_cell_length_b 6.581
_cell_length_c 6.581
_cell_angle_alpha 90.00
_cell_angle_beta 90.00
_cell_angle_gamma 90.00
loop_
_atom_site_label
_atom_site_type_symbol
_atom_site_fract_x
_atom_site_fract_y
_atom_site_fract_z
_atom_site_occupancy
Cd1 Cd 0.000 0.000 0.000 1
In1 In 0.000 0.000 0.500 1
Pd1 Pd 0.250 0.250 0.250 1